VASP calculation (GGA-PBE) on a relaxed structure of LuCdAg2.

Cell: 6.9247 6.9247 6.9247 Å, 90.00 90.00 90.00°
Space group Fm-3m (No. 225)
Inequivalent atoms, fractional coordinates:
Lu (0.0000, 0.0000, 0.0000) x4
Cd (0.0000, 0.0000, 0.5000) x4
Ag (0.2500, 0.2500, 0.2500) x8

Summary:
formation energy: -1.09 eV per formula unit
uncorrected energy: -3.05 eV/atom